<one>
# Ga

A geometry-optimized Ga structure (meta-GGA r2SCAN, the Materials Project database).

Cell and atoms, written as extended XYZ:
```
4
Lattice="3.817 -2.327 0.000 3.817 2.327 0.000 0.000 0.000 4.488" Properties=species:S:1:pos:R:3 pbc="T T T"
Ga 2.577 1.526 3.366
Ga 5.057 1.526 3.366
Ga 2.577 -1.526 1.122
Ga 5.057 -1.526 1.122
```

---

<two>
# Ga

A geometry-optimized Ga structure (meta-GGA r2SCAN, the Materials Project database).

Cell and atoms, written as extended XYZ:
```
22
Lattice="4.522 2.611 5.652 -4.522 2.611 5.652 0.000 -5.221 5.652" Properties=species:S:1:pos:R:3 pbc="T T T"
Ga 0.000 0.000 0.000
Ga -2.261 -1.305 5.652
Ga -3.165 -1.828 8.274
Ga 0.000 -2.680 4.597
Ga -2.321 1.340 4.597
Ga 0.000 -3.655 8.681
Ga -3.165 1.828 8.681
Ga 0.000 -1.578 7.168
Ga -1.366 0.789 7.168
Ga -1.366 -0.789 9.788
Ga -2.321 -1.340 12.358
Ga -2.261 1.305 11.304
Ga 0.000 2.611 5.652
Ga 2.321 1.340 4.597
Ga 1.366 0.789 7.168
Ga 1.366 -0.789 9.788
Ga 0.000 1.578 9.788
Ga 3.165 -1.828 8.274
Ga 0.000 3.655 8.274
Ga 2.321 -1.340 12.358
Ga 0.000 2.680 12.358
Ga 3.165 1.828 8.681
```

---

<three>
# Ga

A geometry-optimized Ga structure (meta-GGA r2SCAN, the Materials Project database).

Cell and atoms, written as extended XYZ:
```
6
Lattice="-2.992 2.992 2.992 2.992 -2.992 2.992 2.992 2.992 -2.992" Properties=species:S:1:pos:R:3 pbc="T T T"
Ga 2.992 -1.496 2.244
Ga 2.244 2.992 -1.496
Ga 2.992 1.496 0.748
Ga 1.496 0.748 2.992
Ga 0.748 2.992 1.496
Ga -1.496 2.244 2.992
```

---

The structure with the least stability is <three>.

---

<one>
# Ga

A geometry-optimized Ga structure (meta-GGA r2SCAN, the Materials Project database).

Cell and atoms, written as extended XYZ:
```
20
Lattice="5.286 -6.759 0.000 5.286 6.759 0.000 0.000 0.000 5.111" Properties=species:S:1:pos:R:3 pbc="T T T"
Ga 5.286 6.605 3.833
Ga 3.953 3.912 1.278
Ga 2.388 1.860 1.278
Ga 5.286 3.842 3.833
Ga 2.888 0.712 3.833
Ga 2.888 -0.712 1.278
Ga 6.619 3.912 1.278
Ga 2.388 -1.860 3.833
Ga 5.286 1.418 0.000
Ga 5.286 1.418 2.555
Ga 5.286 -1.418 5.110
Ga 5.286 -1.418 2.556
Ga 8.185 1.860 1.278
Ga 3.953 -3.912 3.833
Ga 7.685 0.712 3.833
Ga 7.685 -0.712 1.278
Ga 5.286 -3.842 1.278
Ga 8.185 -1.860 3.833
Ga 6.619 -3.912 3.833
Ga 5.286 -6.605 1.278
```

---

<two>
# Ga

A geometry-optimized Ga structure (meta-GGA r2SCAN, the Materials Project database).

Cell and atoms, written as extended XYZ:
```
4
Lattice="2.216 -3.799 0.000 2.216 3.799 0.000 0.000 0.000 4.556" Properties=species:S:1:pos:R:3 pbc="T T T"
Ga 2.216 2.616 4.170
Ga 2.216 1.183 1.892
Ga 2.216 -1.183 2.663
Ga 2.216 -2.616 0.385
```

---

The structure with the least stability is <one>.

---

<one>
# YbPm3

A geometry-optimized YbPm3 structure (meta-GGA r2SCAN, the Materials Project database).

Cell and atoms, written as extended XYZ:
```
8
Lattice="7.371 0.000 0.000 -3.685 6.383 0.000 0.000 0.000 5.741" Properties=species:S:1:pos:R:3 pbc="T T T"
Yb 0.000 4.256 1.435
Yb 3.685 2.128 4.306
Pm 0.000 2.152 4.306
Pm -1.822 5.307 4.306
Pm 1.864 1.076 1.435
Pm 1.822 5.307 4.306
Pm 5.507 1.076 1.435
Pm 3.685 4.231 1.435
```

---

<two>
# YbPm3

A geometry-optimized YbPm3 structure (meta-GGA r2SCAN, the Materials Project database).

Cell and atoms, written as extended XYZ:
```
4
Lattice="-2.553 2.553 5.092 2.553 -2.553 5.092 2.553 2.553 -5.092" Properties=species:S:1:pos:R:3 pbc="T T T"
Yb 0.000 0.000 0.000
Pm 2.553 0.000 2.546
Pm 0.000 0.000 5.092
Pm 0.000 2.553 2.546
```

---

The structure with the least stability is <two>.

---

<one>
# MnP2O7

A geometry-optimized MnP2O7 structure (meta-GGA r2SCAN, the Materials Project database).

Cell and atoms, written as extended XYZ:
```
40
Lattice="7.048 0.000 0.000 0.000 7.824 0.000 -3.148 0.000 8.530" Properties=species:S:1:pos:R:3 pbc="T T T"
Mn 0.821 0.035 2.163
Mn -0.753 3.877 6.429
Mn 4.653 3.947 2.102
Mn 3.079 7.789 6.367
P -0.178 5.468 3.817
P -1.752 6.268 8.083
P 1.224 1.873 4.730
P 2.798 2.039 0.464
P 1.102 5.786 8.066
P 2.676 5.951 3.801
P 5.652 1.556 0.448
P 4.078 2.356 4.713
O -0.765 4.509 2.815
O -2.339 7.227 7.081
O -1.797 4.801 7.678
O -0.223 6.935 3.413
O -0.734 5.346 5.226
O 0.840 6.390 0.961
O 1.716 1.100 0.921
O 0.142 2.813 5.186
O 0.895 1.503 3.301
O -0.679 2.409 7.566
O 1.359 5.066 3.825
O -0.215 6.670 8.091
O 0.850 4.580 7.167
O 2.424 7.157 2.902
O 1.476 0.668 5.628
O 3.050 3.245 1.363
O 4.116 1.154 0.440
O 2.542 2.758 4.705
O 4.579 5.415 0.964
O 3.005 6.321 5.230
O 3.758 5.012 3.345
O 2.184 6.725 7.610
O 3.060 1.434 7.570
O 4.634 2.478 3.304
O 4.123 0.889 5.117
O 5.697 3.023 0.852
O 6.239 0.597 1.450
O 4.665 3.315 5.715
```

---

<two>
# MnP2O7

A geometry-optimized MnP2O7 structure (meta-GGA r2SCAN, the Materials Project database).

Cell and atoms, written as extended XYZ:
```
40
Lattice="4.790 0.000 0.000 0.000 12.319 0.000 -4.603 0.000 7.724" Properties=species:S:1:pos:R:3 pbc="T T T"
Mn -0.978 1.838 2.641
Mn -3.280 4.322 6.503
Mn 3.467 7.997 1.221
Mn 1.166 10.481 5.082
P -1.257 8.564 4.329
P 1.044 9.915 0.468
P -1.348 0.229 5.381
P 0.954 5.930 1.519
P -0.767 6.389 6.204
P 1.535 12.090 2.343
P -0.857 2.404 7.256
P 1.445 3.755 3.394
O -0.445 2.310 0.917
O -2.746 3.849 4.779
O -0.359 6.564 1.968
O -2.661 11.915 5.829
O 0.155 9.104 1.391
O -2.147 9.374 5.253
O -1.584 1.327 4.358
O 0.718 4.832 0.496
O -1.317 7.069 4.888
O 0.985 11.409 1.026
O -2.306 2.843 7.210
O -0.004 3.316 3.348
O 0.532 0.775 2.829
O -1.770 5.384 6.691
O 1.957 6.935 1.033
O -0.345 11.544 4.895
O 0.191 9.003 4.375
O 2.493 9.476 0.513
O -0.797 0.910 6.697
O 1.504 5.250 2.836
O -0.531 7.487 7.227
O 1.771 10.992 3.366
O 2.334 2.945 2.471
O 0.032 3.215 6.332
O 2.848 0.404 1.894
O 0.547 5.755 5.756
O 2.934 8.470 2.945
O 0.632 10.009 6.807
```

---

The structure with the least stability is <one>.

---

<one>
# Li5Mg

A geometry-optimized Li5Mg structure (meta-GGA r2SCAN, the Materials Project database).

Cell and atoms, written as extended XYZ:
```
6
Lattice="5.045 0.000 0.000 0.000 1.529 7.942 0.000 -1.529 7.942" Properties=species:S:1:pos:R:3 pbc="T T T"
Li 0.000 0.000 0.000
Li 0.000 0.000 5.266
Li 0.000 0.000 10.575
Li 2.523 0.000 7.066
Li 2.523 0.000 12.372
Mg 2.523 0.000 1.794
```

---

<two>
# Li5Mg

A geometry-optimized Li5Mg structure (meta-GGA r2SCAN, the Materials Project database).

Cell and atoms, written as extended XYZ:
```
6
Lattice="3.062 0.000 0.000 -1.531 2.652 0.000 0.000 0.000 15.323" Properties=species:S:1:pos:R:3 pbc="T T T"
Li 0.000 0.000 0.000
Li 0.000 0.000 5.060
Li 0.000 0.000 10.263
Li 0.000 1.768 2.553
Li 0.000 1.768 12.770
Mg 0.000 1.768 7.661
```

---

The structure with the least stability is <two>.

---

<one>
# Mn2F7

A geometry-optimized Mn2F7 structure (meta-GGA r2SCAN, the Materials Project database).

Cell and atoms, written as extended XYZ:
```
36
Lattice="7.186 0.000 0.000 0.000 5.000 0.000 -1.683 0.000 12.752" Properties=species:S:1:pos:R:3 pbc="T T T"
Mn 0.001 0.000 1.397
Mn 0.037 2.596 4.091
Mn 1.870 0.095 8.651
Mn 1.891 2.508 11.357
Mn 3.613 0.008 1.395
Mn 3.633 2.595 4.102
Mn 5.466 0.096 8.662
Mn 5.503 2.500 11.355
F -0.356 1.103 3.026
F -1.301 3.895 12.467
F -0.290 1.732 5.526
F 0.409 3.472 2.388
F 0.423 4.085 4.855
F 0.078 0.646 8.866
F 0.104 1.881 11.462
F 1.804 0.581 1.439
F 1.833 2.029 4.083
F 1.516 4.156 7.276
F 1.499 3.639 9.773
F 1.522 3.876 12.504
F 2.239 1.538 7.792
F 3.212 3.524 2.444
F 2.292 1.024 10.308
F 3.265 4.038 4.960
F 3.982 1.376 0.248
F 4.005 1.139 2.980
F 3.987 1.656 5.477
F 3.670 4.529 8.669
F 3.699 3.081 11.313
F 5.400 4.381 1.290
F 5.426 3.146 3.887
F 5.081 1.585 7.898
F 5.095 0.972 10.365
F 5.794 4.232 7.226
F 6.805 1.395 0.286
F 5.860 3.603 9.726
```

---

<two>
# Mn2F7

A geometry-optimized Mn2F7 structure (meta-GGA r2SCAN, the Materials Project database).

Cell and atoms, written as extended XYZ:
```
18
Lattice="5.196 0.000 0.000 0.619 5.987 0.000 1.990 2.328 7.811" Properties=species:S:1:pos:R:3 pbc="T T T"
Mn 2.070 3.508 2.550
Mn 3.240 3.640 6.341
Mn 4.565 4.674 1.470
Mn 5.735 4.807 5.260
F 0.924 3.906 0.924
F 1.418 1.943 2.812
F 2.319 3.821 4.605
F 2.658 2.031 6.463
F 2.006 1.373 0.074
F 2.963 5.190 2.324
F 3.995 5.347 5.893
F 3.810 2.968 1.918
F 4.842 3.125 5.487
F 5.799 6.941 7.737
F 5.147 6.283 1.348
F 5.486 4.494 3.205
F 6.387 6.372 4.998
F 6.881 4.408 6.887
```

---

The structure with the least stability is <two>.

---

<one>
# TiCr2

A geometry-optimized TiCr2 structure (meta-GGA r2SCAN, the Materials Project database).

Cell and atoms, written as extended XYZ:
```
12
Lattice="4.860 0.000 0.000 -2.430 4.209 0.000 0.000 0.000 7.782" Properties=species:S:1:pos:R:3 pbc="T T T"
Ti 0.000 2.806 0.470
Ti 0.000 2.806 3.421
Ti 2.430 1.403 4.361
Ti 2.430 1.403 7.311
Cr 0.000 0.000 0.000
Cr 0.000 0.000 3.891
Cr 0.000 1.430 5.836
Cr -1.191 3.493 5.836
Cr 1.239 0.715 1.945
Cr 1.191 3.493 5.836
Cr 3.621 0.715 1.945
Cr 2.430 2.778 1.945
```

---

<two>
# TiCr2

A geometry-optimized TiCr2 structure (meta-GGA r2SCAN, the Materials Project database).

Cell and atoms, written as extended XYZ:
```
24
Lattice="4.841 0.000 0.000 -2.421 4.192 0.000 0.000 0.000 15.684" Properties=species:S:1:pos:R:3 pbc="T T T"
Ti 0.000 0.000 1.488
Ti 0.000 0.000 6.354
Ti 0.000 0.000 9.330
Ti 0.000 0.000 14.196
Ti 0.000 2.795 2.454
Ti 0.000 2.795 5.388
Ti 2.421 1.397 10.296
Ti 2.421 1.397 13.230
Cr -1.210 2.096 0.000
Cr -1.210 2.096 7.842
Cr 0.000 1.372 11.763
Cr -1.232 3.507 11.763
Cr 1.188 0.686 3.921
Cr 0.000 2.795 9.779
Cr 0.000 2.795 13.747
Cr 2.421 0.000 0.000
Cr 2.421 0.000 7.842
Cr 1.210 2.096 0.000
Cr 1.210 2.096 7.842
Cr 2.421 1.397 1.937
Cr 2.421 1.397 5.905
Cr 1.232 3.507 11.763
Cr 3.653 0.686 3.921
Cr 2.421 2.821 3.921
```

---

The structure with the least stability is <one>.

---

<one>
# Cu

A geometry-optimized Cu structure (meta-GGA r2SCAN, the Materials Project database).

Cell and atoms, written as extended XYZ:
```
1
Lattice="0.000 1.789 1.789 1.789 0.000 1.789 1.789 1.789 0.000" Properties=species:S:1:pos:R:3 pbc="T T T"
Cu 0.000 0.000 0.000
```

---

<two>
# Cu

A geometry-optimized Cu structure (meta-GGA r2SCAN, the Materials Project database).

Cell and atoms, written as extended XYZ:
```
1
Lattice="-1.451 1.451 1.362 1.451 -1.451 1.362 1.451 1.451 -1.362" Properties=species:S:1:pos:R:3 pbc="T T T"
Cu 0.000 0.000 0.000
```

---

The structure with the least stability is <two>.